# Dy3Sc2S7, optimized geometry, DFT PBE
# VASP energy = -6.636 eV per atom
# E (MP2020) = -6.93 eV per atom
# Symmetry = C2/m, No. 12
# V = 21.23 Å³ per atom
# Calculated formation energy = -27.71 eV/f.u.
data_Dy3Sc2S7
_cell_length_a 6.484
_cell_length_b 6.484
_cell_length_c 11.368
_cell_angle_alpha 104.37
_cell_angle_beta 104.37
_cell_angle_gamma 33.51
_symmetry_space_group_name_H-M 'P 1'
_symmetry_Int_Tables_number 1
loop_
_symmetry_equiv_pos_as_xyz
'x,y,z'
loop_
_atom_site_label
_atom_site_type_symbol
_atom_site_fract_x
_atom_site_fract_y
_atom_site_fract_z
_atom_site_occupancy
Dy1 Dy 0.000 0.000 0.000 1
Dy2 Dy 0.304 0.304 0.202 1
Dy3 Dy 0.696 0.696 0.798 1
Sc1 Sc 0.111 0.111 0.430 1
Sc2 Sc 0.889 0.889 0.570 1
S1 S 0.033 0.033 0.776 1
S2 S 0.264 0.264 0.638 1
S3 S 0.338 0.338 0.947 1
S4 S 0.500 0.500 0.500 1
S5 S 0.662 0.662 0.053 1
S6 S 0.736 0.736 0.362 1
S7 S 0.967 0.967 0.224 1